A plane-wave DFT calculation with PBE with a Hubbard U was carried out for a relaxed RbW3O9 crystal.

Computed properties:
E_tot = -7.229 eV per atom
Distance to the lowest polymorph of the same formula = 4 meV/atom

The structure in extended XYZ format:
```
13
Lattice="3.765 -6.521 0.000 3.765 6.521 0.000 0.000 0.000 3.883" Properties=species:S:1:pos:R:3 pbc="T T T"
W 3.765 0.000 1.941
W 1.883 3.261 1.941
O 2.375 -1.371 1.941
O 3.765 -3.779 1.941
O 5.155 -1.371 1.941
O 1.883 3.261 0.000
O 1.883 -3.261 0.000
O 2.375 1.371 1.941
Rb 0.000 0.000 0.000
O 3.765 3.779 1.941
O 3.765 0.000 0.000
O 5.155 1.371 1.941
W 1.883 -3.261 1.941
```